{
  "formula": "Ni3Cl4",
  "functional": "PBE-GGA",
  "state": "relaxed",
  "cell": [[-1.164, -9.740, -6.284], [1.577, -8.349, -7.969], [3.795, -3.202, 3.529]],
  "species": ["Ni", "Ni", "Ni", "Ni", "Ni", "Ni", "Cl", "Cl", "Cl", "Cl", "Cl", "Cl", "Cl", "Cl"],
  "fractional_positions": [[0.000, 0.000, 0.000], [0.500, 0.500, 0.500], [0.625, 0.625, 0.126], [0.375, 0.375, 0.874], [0.252, 0.252, 0.252], [0.748, 0.748, 0.748], [0.441, 0.441, 0.165], [0.939, 0.939, 0.679], [0.693, 0.693, 0.409], [0.812, 0.812, 0.063], [0.307, 0.307, 0.591], [0.061, 0.061, 0.321], [0.188, 0.188, 0.937], [0.559, 0.559, 0.835]],
  "space_group": "C2/m",
  "vol_a3_per_atom": 17.53,
  "relative_energy_mev_per_atom": 2,
  "rho_g_cm3": 4.3
}

---

{
  "formula": "Cr7GeN6",
  "functional": "PBE-GGA",
  "state": "relaxed",
  "cell": [[9.217, 0.000, 0.000], [0.000, 5.523, 0.000], [0.000, 0.000, 11.367]],
  "species": ["N", "N", "N", "N", "N", "N", "N", "N", "N", "N", "N", "N", "N", "N", "N", "N", "N", "N", "N", "N", "N", "N", "N", "N", "Cr", "Cr", "Cr", "Cr", "Cr", "Cr", "Cr", "Cr", "Cr", "Cr", "Cr", "Cr", "Cr", "Cr", "Cr", "Cr", "Cr", "Cr", "Cr", "Cr", "Cr", "Cr", "Cr", "Cr", "Cr", "Cr", "Cr", "Cr", "Ge", "Ge", "Ge", "Ge"],
  "fractional_positions": [[0.883, 0.711, 0.643], [0.604, 0.846, 0.860], [0.317, 0.721, 0.013], [0.104, 0.654, 0.140], [0.117, 0.289, 0.357], [0.617, 0.789, 0.143], [0.183, 0.221, 0.013], [0.117, 0.711, 0.857], [0.896, 0.654, 0.360], [0.183, 0.779, 0.513], [0.817, 0.779, 0.987], [0.683, 0.279, 0.987], [0.383, 0.211, 0.857], [0.383, 0.789, 0.357], [0.883, 0.289, 0.143], [0.604, 0.154, 0.360], [0.104, 0.346, 0.640], [0.396, 0.154, 0.140], [0.817, 0.221, 0.487], [0.396, 0.846, 0.640], [0.317, 0.279, 0.513], [0.683, 0.721, 0.487], [0.617, 0.211, 0.643], [0.896, 0.346, 0.860], [0.719, 0.463, 0.370], [0.281, 0.537, 0.630], [0.753, 0.467, 0.594], [0.281, 0.463, 0.130], [0.987, 0.249, 0.002], [0.000, 0.471, 0.250], [0.753, 0.533, 0.094], [0.747, 0.967, 0.594], [0.219, 0.037, 0.630], [0.747, 0.033, 0.094], [0.487, 0.749, 0.498], [0.247, 0.533, 0.406], [0.513, 0.251, 0.502], [0.000, 0.529, 0.750], [0.253, 0.033, 0.406], [0.013, 0.249, 0.498], [0.013, 0.751, 0.998], [0.513, 0.749, 0.002], [0.219, 0.963, 0.130], [0.987, 0.751, 0.502], [0.487, 0.251, 0.998], [0.719, 0.537, 0.870], [0.781, 0.963, 0.370], [0.500, 0.971, 0.250], [0.781, 0.037, 0.870], [0.500, 0.029, 0.750], [0.247, 0.467, 0.906], [0.253, 0.967, 0.906], [0.500, 0.494, 0.250], [0.000, 0.006, 0.750], [0.500, 0.506, 0.750], [0.000, 0.994, 0.250]],
  "space_group": "Pbcn",
  "vol_a3_per_atom": 10.33,
  "rho_g_cm3": 6.0,
  "energy_ev_per_atom": -8.8191
}

---

{
  "formula": "Ba8Ca4Cu8Hg4O25",
  "functional": "PBE-GGA",
  "state": "relaxed",
  "cell": [[-6.925, 2.557, -4.532], [-1.484, -1.319, -8.432], [-8.040, -10.842, -0.443]],
  "species": ["O", "O", "O", "O", "O", "O", "O", "O", "O", "O", "O", "O", "O", "O", "O", "O", "O", "O", "O", "O", "O", "O", "O", "O", "O", "Ba", "Ba", "Ba", "Ba", "Ba", "Ba", "Ba", "Ba", "Hg", "Hg", "Hg", "Hg", "Ca", "Ca", "Ca", "Ca", "Cu", "Cu", "Cu", "Cu", "Cu", "Cu", "Cu", "Cu"],
  "fractional_positions": [[0.405, 0.906, 0.378], [0.469, 0.469, 0.622], [0.911, 0.422, 0.842], [0.158, 0.653, 0.378], [0.578, 0.089, 0.158], [0.347, 0.842, 0.622], [0.531, 0.531, 0.378], [0.832, 0.343, 0.158], [0.653, 0.158, 0.378], [0.906, 0.405, 0.378], [0.343, 0.832, 0.158], [0.031, 0.031, 0.379], [0.595, 0.094, 0.622], [0.657, 0.168, 0.842], [0.422, 0.911, 0.842], [0.842, 0.347, 0.622], [0.221, 0.221, 0.621], [0.720, 0.720, 0.622], [0.969, 0.969, 0.621], [0.094, 0.595, 0.622], [0.089, 0.578, 0.158], [0.168, 0.657, 0.842], [0.280, 0.280, 0.378], [0.779, 0.779, 0.379], [0.000, 0.000, 0.000], [0.052, 0.052, 0.793], [0.445, 0.445, 0.221], [0.805, 0.805, 0.781], [0.695, 0.695, 0.219], [0.195, 0.195, 0.219], [0.948, 0.948, 0.207], [0.305, 0.305, 0.781], [0.555, 0.555, 0.779], [0.639, 0.121, 0.000], [0.121, 0.639, 0.000], [0.879, 0.361, 0.000], [0.361, 0.879, 0.000], [0.125, 0.125, 0.502], [0.375, 0.375, 0.500], [0.875, 0.875, 0.498], [0.625, 0.625, 0.500], [0.030, 0.532, 0.378], [0.279, 0.781, 0.378], [0.532, 0.030, 0.378], [0.219, 0.721, 0.622], [0.468, 0.970, 0.622], [0.721, 0.219, 0.622], [0.781, 0.279, 0.378], [0.970, 0.468, 0.622]],
  "space_group": "C2/m",
  "vol_a3_per_atom": 15.83,
  "rho_g_cm3": 6.4,
  "energy_ev_per_atom": -5.3416
}

---

{
  "formula": "Na2AsAuF6",
  "functional": "PBE-GGA",
  "state": "relaxed",
  "cell": [[0.000, 4.461, 4.461], [4.461, 0.000, 4.461], [4.461, 4.461, 0.000]],
  "species": ["F", "F", "F", "F", "F", "F", "Na", "Na", "As", "Au"],
  "fractional_positions": [[0.228, 0.228, 0.772], [0.772, 0.772, 0.228], [0.228, 0.772, 0.228], [0.772, 0.228, 0.228], [0.772, 0.228, 0.772], [0.228, 0.772, 0.772], [0.250, 0.250, 0.250], [0.750, 0.750, 0.750], [0.000, 0.000, 0.000], [0.500, 0.500, 0.500]],
  "space_group": "Fm-3m",
  "vol_a3_per_atom": 17.75,
  "rho_g_cm3": 4.0,
  "energy_ev_per_atom": -3.9835
}

---

{
  "formula": "Re3Sb",
  "functional": "PBE-GGA",
  "state": "relaxed",
  "cell": [[0.000, 3.197, 3.197], [3.197, 0.000, 3.197], [3.197, 3.197, 0.000]],
  "species": ["Re", "Re", "Re", "Sb"],
  "fractional_positions": [[0.750, 0.750, 0.750], [0.250, 0.250, 0.250], [0.500, 0.500, 0.500], [0.000, 0.000, 0.000]],
  "space_group": "Fm-3m",
  "vol_a3_per_atom": 16.33,
  "rho_g_cm3": 17.3,
  "energy_ev_per_atom": -9.7331
}

---

{
  "formula": "TbGa3Ni",
  "functional": "PBE-GGA",
  "state": "relaxed",
  "cell": [[4.052, 0.000, 0.000], [0.000, 4.052, 0.000], [2.026, 2.026, 5.343]],
  "species": ["Tb", "Ga", "Ga", "Ga", "Ni"],
  "fractional_positions": [[0.000, 0.000, 0.000], [0.615, 0.615, 0.769], [0.250, 0.750, 0.500], [0.385, 0.385, 0.231], [0.750, 0.250, 0.500]],
  "space_group": "I-4m2",
  "vol_a3_per_atom": 17.55,
  "relative_energy_mev_per_atom": 64,
  "rho_g_cm3": 8.1
}

---

{
  "formula": "UAl3",
  "functional": "PBE-GGA",
  "state": "relaxed",
  "cell": [[-4.327, 1.806, 4.022], [3.829, -4.625, 1.452], [2.983, 3.048, 1.841]],
  "species": ["Al", "Al", "Al", "Al", "Al", "Al", "U", "U"],
  "fractional_positions": [[0.847, 0.695, 0.750], [0.153, 0.847, 0.250], [0.153, 0.305, 0.250], [0.305, 0.153, 0.750], [0.847, 0.153, 0.750], [0.695, 0.847, 0.250], [0.333, 0.667, 0.750], [0.667, 0.333, 0.250]],
  "space_group": "P6_3/mmc",
  "vol_a3_per_atom": 19.19,
  "rho_g_cm3": 6.9,
  "energy_ev_per_atom": -5.7321
}

---

{
  "formula": "DySiAg",
  "functional": "PBE-GGA",
  "state": "relaxed",
  "cell": [[-1.361, -2.109, -2.604], [3.923, -0.003, -2.048], [2.993, -3.116, 0.960]],
  "species": ["Dy", "Si", "Ag"],
  "fractional_positions": [[0.000, 0.000, 0.000], [0.500, 0.667, 0.667], [0.500, 0.333, 0.333]],
  "space_group": "P-6m2",
  "vol_a3_per_atom": 20.45,
  "rho_g_cm3": 8.1,
  "energy_ev_per_atom": -4.7870
}

---

Please write out number 6 again, unchanged.
{
  "formula": "TbGa3Ni",
  "functional": "PBE-GGA",
  "state": "relaxed",
  "cell": [[4.052, 0.000, 0.000], [0.000, 4.052, 0.000], [2.026, 2.026, 5.343]],
  "species": ["Tb", "Ga", "Ga", "Ga", "Ni"],
  "fractional_positions": [[0.000, 0.000, 0.000], [0.615, 0.615, 0.769], [0.250, 0.750, 0.500], [0.385, 0.385, 0.231], [0.750, 0.250, 0.500]],
  "space_group": "I-4m2",
  "vol_a3_per_atom": 17.55,
  "relative_energy_mev_per_atom": 64,
  "rho_g_cm3": 8.1
}